Entry 1:
DFT (PBE-GGA) results for a geometry-optimized Na4NbGa3P6O24 structure.

Energy of formation from the pure elements in kcal/mol of atoms: -60.9
M_tot in μB/atom: 0.000
Total energy after the MP2020 corrections in eV per atom: -7.26

Cell: 8.6882 8.6938 22.1268 Å, 90.07 90.02 119.98°
With the nearest neighbours (Å) after each atom.
Space group P1 (No. 1)
Inequivalent atoms, fractional coordinates:
Na 0.0000 0.0000 0.0000 x1  6 O 2.52-2.56
Na 0.0001 0.0004 0.4939 x1  6 O 2.41-2.68
Na 0.0013 0.3678 0.2521 x1  5 O 2.33-2.55
Na 0.0320 0.3337 0.9169 x1  6 O 2.37-2.62
Na 0.3006 0.9674 0.9173 x1  6 O 2.37-2.59
Na 0.3246 0.6575 0.8295 x1  6 O 2.39-2.63
Na 0.3344 0.6781 0.3320 x1  6 O 2.46-2.61
Na 0.6323 0.9999 0.7490 x1  5 O 2.32-2.56
Na 0.6341 0.6329 0.2523 x1  5 O 2.34-2.54
Na 0.6580 0.3240 0.1642 x1  6 O 2.43-2.60
Na 0.6660 0.6987 0.9173 x1  6 O 2.37-2.63
Na 0.6674 0.3428 0.6639 x1  6 O 2.45-2.59
Nb 0.0010 0.9995 0.6440 x1  6 O 1.98-2.01
Nb 0.0015 0.0011 0.1444 x1  6 O 1.98-2.00
Nb 0.3326 0.6662 0.4760 x1  6 O 1.97-2.01
Ga 0.0011 0.9996 0.3547 x1  6 O 1.96-2.00
Ga 0.0015 0.0009 0.8482 x1  6 O 1.92-2.08
Ga 0.3273 0.6604 0.6843 x1  6 O 1.91-2.06
Ga 0.3328 0.6670 0.9851 x1  6 O 1.92-2.08
Ga 0.3339 0.6736 0.1826 x1  6 O 1.89-2.11
Ga 0.6604 0.3267 0.3182 x1  5 O 1.88-2.06
Ga 0.6658 0.3331 0.5177 x1  6 O 1.93-2.03
Ga 0.6664 0.3342 0.0203 x1  6 O 1.98-1.99
Ga 0.6673 0.3398 0.8139 x1  6 O 1.95-2.04
P 0.0037 0.2978 0.7521 x1  4 O 1.52-1.57
P 0.0047 0.7112 0.2524 x1  4 O 1.51-1.58
P 0.0395 0.6564 0.5841 x1  4 O 1.52-1.58
P 0.0412 0.3833 0.0829 x1  4 O 1.53-1.58
P 0.2933 0.9996 0.7521 x1  4 O 1.54-1.56
P 0.2928 0.2905 0.2524 x1  4 O 1.52-1.57
P 0.3418 0.9592 0.0819 x1  4 O 1.53-1.58
P 0.3432 0.3837 0.5843 x1  4 O 1.52-1.58
P 0.3767 0.0529 0.4166 x1  4 O 1.52-1.60
P 0.3778 0.3335 0.9170 x1  4 O 1.53-1.56
P 0.6166 0.6587 0.0830 x1  4 O 1.53-1.58
P 0.6167 0.9602 0.5850 x1  4 O 1.52-1.58
P 0.6666 0.0444 0.9163 x1  4 O 1.53-1.56
P 0.6757 0.6236 0.4157 x1  4 O 1.52-1.59
P 0.7054 0.7036 0.7516 x1  4 O 1.52-1.57
P 0.7047 0.9989 0.2521 x1  4 O 1.53-1.59
P 0.9468 0.3242 0.4156 x1  4 O 1.52-1.59
P 0.9549 0.6219 0.9169 x1  4 O 1.54-1.56
O 0.0240 0.1941 0.0898 x1  1 P 1.58
O 0.0261 0.8307 0.5905 x1  1 P 1.58
O 0.0325 0.2148 0.8101 x1  1 P 1.55
O 0.0339 0.8273 0.3071 x1  1 P 1.51
O 0.1246 0.4892 0.1410 x1  1 P 1.54
O 0.1249 0.6333 0.6411 x1  1 P 1.53
O 0.1379 0.4965 0.4234 x1  1 P 1.59
O 0.1442 0.6442 0.9234 x1  1 P 1.56
O 0.1547 0.4563 0.0251 x1  1 P 1.55
O 0.1599 0.6946 0.5280 x1  1 P 1.55
O 0.1663 0.6849 0.2436 x1  1 P 1.54
O 0.1682 0.2075 0.3059 x1  1 P 1.52
O 0.1690 0.1961 0.5910 x1  1 P 1.58
O 0.1690 0.4794 0.7441 x1  1 P 1.52
O 0.1694 0.9758 0.0899 x1  1 P 1.58
O 0.1811 0.9680 0.8099 x1  1 P 1.55
O 0.1884 0.1665 0.9104 x1  1 P 1.56
O 0.1891 0.0243 0.4105 x1  1 P 1.53
O 0.1985 0.0264 0.6966 x1  1 P 1.56
O 0.2020 0.1737 0.1947 x1  1 P 1.57
O 0.3000 0.8471 0.0236 x1  1 P 1.55
O 0.3045 0.4655 0.5281 x1  1 P 1.55
O 0.3109 0.4767 0.2435 x1  1 P 1.56
O 0.3152 0.8354 0.7444 x1  1 P 1.54
O 0.3551 0.5002 0.9235 x1  1 P 1.56
O 0.3575 0.8614 0.4242 x1  1 P 1.60
O 0.3668 0.8739 0.1385 x1  1 P 1.53
O 0.3681 0.4936 0.6411 x1  1 P 1.53
O 0.4567 0.2930 0.9727 x1  1 P 1.53
O 0.4595 0.1605 0.4738 x1  1 P 1.52
O 0.4787 0.1672 0.7558 x1  1 P 1.54
O 0.4796 0.3121 0.2558 x1  1 P 1.54
O 0.4913 0.1221 0.3593 x1  1 P 1.54
O 0.4965 0.3743 0.8608 x1  1 P 1.54
O 0.4997 0.8556 0.9230 x1  1 P 1.56
O 0.5022 0.1456 0.0765 x1  1 P 1.53
O 0.5016 0.3568 0.5766 x1  1 P 1.52
O 0.5033 0.6423 0.4235 x1  1 P 1.59
O 0.5099 0.6351 0.1410 x1  1 P 1.54
O 0.5118 0.8777 0.6434 x1  1 P 1.54
O 0.5230 0.8296 0.2428 x1  1 P 1.54
O 0.5249 0.6946 0.7439 x1  1 P 1.54
O 0.5319 0.8380 0.5295 x1  1 P 1.55
O 0.5438 0.6995 0.0251 x1  1 P 1.55
O 0.6279 0.1200 0.8585 x1  1 P 1.55
O 0.6335 0.5129 0.3568 x1  1 P 1.55
O 0.6421 0.4979 0.0772 x1  1 P 1.53
O 0.6432 0.1453 0.5772 x1  1 P 1.52
O 0.6940 0.5231 0.7558 x1  1 P 1.52
O 0.6962 0.1713 0.2557 x1  1 P 1.54
O 0.6994 0.5378 0.4722 x1  1 P 1.52
O 0.7061 0.1659 0.9714 x1  1 P 1.53
O 0.7855 0.8230 0.8088 x1  1 P 1.56
O 0.7900 0.9604 0.3060 x1  1 P 1.53
O 0.8047 0.9740 0.5908 x1  1 P 1.58
O 0.8059 0.8307 0.0903 x1  1 P 1.58
O 0.8278 0.0313 0.1951 x1  1 P 1.59
O 0.8275 0.8007 0.6961 x1  1 P 1.57
O 0.8286 0.3027 0.7559 x1  1 P 1.54
O 0.8334 0.5255 0.2550 x1  1 P 1.56
O 0.8337 0.0219 0.9104 x1  1 P 1.56
O 0.8343 0.8115 0.4103 x1  1 P 1.53
O 0.8355 0.5435 0.9727 x1  1 P 1.54
O 0.8377 0.3003 0.4722 x1  1 P 1.52
O 0.8541 0.4983 0.5764 x1  1 P 1.52
O 0.8546 0.3576 0.0770 x1  1 P 1.53
O 0.8769 0.5026 0.8607 x1  1 P 1.54
O 0.8785 0.3669 0.3569 x1  1 P 1.55
O 0.9705 0.1705 0.6971 x1  1 P 1.57
O 0.9712 0.7995 0.1953 x1  1 P 1.58
O 0.9759 0.1653 0.4099 x1  1 P 1.53
O 0.9770 0.8111 0.9101 x1  1 P 1.56

Entry 2:
DFT (PBE-GGA) results for a geometry-optimized Na2Nb4Ga4Si5S7O48 structure.

Energy of formation from the pure elements in kcal/mol of atoms: -55.6
M_tot in μB/atom: 0.000
Total energy after the MP2020 corrections in eV per atom: -7.39

Cell: 8.7420 15.1533 22.6379 Å, 89.71 89.83 89.95°
With the nearest neighbours (Å) after each atom.
Space group P1 (No. 1)
Inequivalent atoms, fractional coordinates:
Na 0.0000 0.0000 0.0000 x1  5 O 2.34-2.62
Na 0.9999 0.3328 0.3451 x1  3 O 2.25-2.49
Na 0.4881 0.4967 0.4983 x1  3 O 2.33-2.54
Na 0.4892 0.8327 0.3424 x1  6 O 2.43-2.72
Na 0.4925 0.8381 0.8413 x1  5 O 2.39-2.64
Na 0.9980 0.3301 0.8394 x1  6 O 2.49-2.66
Nb 0.0092 0.0073 0.3599 x1  3 O 1.85-1.89
Nb 0.4834 0.5023 0.8563 x1  3 O 1.85-2.04
Nb 0.4869 0.5058 0.1417 x1  4 O 1.88-1.93
Nb 0.4883 0.1645 0.5278 x1  4 O 1.88-2.08
Nb 0.4899 0.1626 0.0257 x1  6 O 1.90-2.09
Nb 0.4943 0.8284 0.1969 x1  4 O 1.85-2.02
Nb 0.5062 0.8334 0.6915 x1  3 O 1.85-1.95
Nb 0.9797 0.3342 0.1934 x1  4 O 1.87-2.04
Nb 0.9911 0.6665 0.0288 x1  3 O 1.85-2.02
Nb 0.9955 0.3295 0.6941 x1  4 O 1.87-2.08
Nb 0.9967 0.6619 0.5256 x1  6 O 1.88-2.08
Nb 0.9984 0.0074 0.6409 x1  4 O 1.87-1.94
Ga 0.0009 0.3265 0.4746 x1  3 O 1.80-1.87
Ga 0.0110 0.6532 0.3159 x1  2 O 1.81-1.83
Ga 0.0162 0.0062 0.8574 x1  3 O 1.82-2.01
Ga 0.4725 0.5030 0.3585 x1  3 O 1.84-2.03
Ga 0.4762 0.1504 0.8153 x1  3 O 1.82-2.01
Ga 0.4835 0.1640 0.3092 x1  3 O 1.82-1.84
Ga 0.4934 0.5067 0.6570 x1  2 O 1.82
Ga 0.4957 0.8382 0.9832 x1  2 O 1.80-1.81
Ga 0.5013 0.8388 0.4872 x1  2 O 1.81-1.82
Ga 0.9882 0.3365 0.9888 x1  2 O 1.81-1.82
Ga 0.9888 0.0077 0.1632 x1  2 O 1.79-1.80
Ga 0.9897 0.6651 0.8077 x1  3 O 1.80-1.98
Si 0.1343 0.4696 0.0824 x1  4 O 1.59-1.67
Si 0.1380 0.5158 0.4190 x1  4 O 1.60-1.69
Si 0.1439 0.1386 0.7563 x1  4 O 1.60-1.69
Si 0.2029 0.5047 0.7501 x1  4 O 1.57-1.71
Si 0.2168 0.1739 0.4154 x1  4 O 1.58-1.69
Si 0.2808 0.0044 0.2499 x1  4 O 1.56-1.67
Si 0.3429 0.6369 0.2573 x1  4 O 1.60-1.70
Si 0.3488 0.0139 0.9195 x1  4 O 1.61-1.68
Si 0.3531 0.9705 0.5824 x1  4 O 1.58-1.65
Si 0.6262 0.6989 0.0809 x1  4 O 1.59-1.66
Si 0.6420 0.6439 0.7510 x1  4 O 1.57-1.70
Si 0.7080 0.3318 0.0838 x1  4 O 1.59-1.66
Si 0.7816 0.8320 0.5832 x1  4 O 1.58-1.68
Si 0.8359 0.1432 0.2536 x1  4 O 1.56-1.68
Si 0.8535 0.2001 0.5807 x1  4 O 1.57-1.65
S 0.1304 0.1858 0.0846 x1  4 O 1.47-1.52
S 0.1348 0.8564 0.7551 x1  4 O 1.46-1.51
S 0.1433 0.8074 0.4188 x1  4 O 1.47-1.50
S 0.2025 0.8397 0.0854 x1  4 O 1.46-1.53
S 0.2775 0.6698 0.9174 x1  4 O 1.46-1.53
S 0.2872 0.3407 0.5860 x1  4 O 1.46-1.51
S 0.3434 0.3079 0.9188 x1  4 O 1.46-1.50
S 0.3522 0.3571 0.2534 x1  4 O 1.45-1.52
S 0.3564 0.6863 0.5843 x1  4 O 1.47-1.51
S 0.6324 0.3519 0.7542 x1  4 O 1.45-1.52
S 0.6343 0.0176 0.4186 x1  4 O 1.45-1.50
S 0.6356 0.3135 0.4168 x1  4 O 1.45-1.51
S 0.6488 0.9754 0.0862 x1  4 O 1.47-1.52
S 0.7049 0.6684 0.4178 x1  4 O 1.47-1.52
S 0.7116 0.0021 0.7570 x1  4 O 1.46-1.55
S 0.7751 0.5031 0.2569 x1  4 O 1.46-1.56
S 0.7828 0.1681 0.9177 x1  4 O 1.47-1.52
S 0.8379 0.4745 0.5858 x1  4 O 1.45-1.53
S 0.8519 0.8112 0.9164 x1  4 O 1.46-1.52
S 0.8549 0.5203 0.9183 x1  4 O 1.46-1.51
S 0.8563 0.8515 0.2547 x1  4 O 1.45-1.55
O 0.0509 0.1051 0.8136 x1  1 Si 1.61
O 0.0529 0.4236 0.4310 x1  1 Si 1.60
O 0.0559 0.5593 0.3623 x1  1 Si 1.61
O 0.0579 0.4275 0.1418 x1  1 Si 1.63
O 0.0612 0.5705 0.0725 x1  1 Si 1.67, 1 Nb 1.86
O 0.0636 0.2387 0.7436 x1  1 Si 1.69, 1 Nb 1.87
O 0.0674 0.0962 0.0903 x1  1 S 1.47
O 0.0670 0.8950 0.4143 x1  1 S 1.49
O 0.0679 0.2258 0.0301 x1  1 S 1.48
O 0.0679 0.8960 0.7019 x1  1 S 1.46
O 0.0696 0.7681 0.7632 x1  1 S 1.46
O 0.0778 0.7662 0.4739 x1  1 S 1.50
O 0.0933 0.4164 0.7447 x1  1 Si 1.65
O 0.0945 0.9125 0.0929 x1  1 S 1.46
O 0.0977 0.2532 0.4199 x1  1 Si 1.59
O 0.1025 0.5820 0.4771 x1  1 Si 1.69, 1 Nb 1.88
O 0.1036 0.0795 0.6982 x1  1 Si 1.63
O 0.1073 0.2401 0.1379 x1  1 S 1.48
O 0.1095 0.5898 0.7666 x1  1 Si 1.57
O 0.1103 0.7549 0.0764 x1  1 S 1.53
O 0.1115 0.7545 0.3660 x1  1 S 1.47
O 0.1132 0.0804 0.4113 x1  1 Si 1.69, 1 Nb 1.85
O 0.1151 0.9110 0.8091 x1  1 S 1.49
O 0.1185 0.4140 0.0235 x1  1 Si 1.59
O 0.1623 0.0072 0.9175 x1  1 Si 1.63
O 0.1638 0.6570 0.2605 x1  1 Si 1.60
O 0.1717 0.9856 0.5947 x1  1 Si 1.63
O 0.1729 0.9790 0.3087 x1  1 Si 1.67
O 0.1754 0.3181 0.9247 x1  1 S 1.48
O 0.1804 0.3473 0.2452 x1  1 S 1.52
O 0.1811 0.0111 0.1905 x1  1 Si 1.61, 1 Ga 1.79
O 0.1812 0.6801 0.8655 x1  1 S 1.46
O 0.1850 0.6566 0.9724 x1  1 S 1.49
O 0.1847 0.6799 0.5789 x1  1 S 1.51
O 0.1886 0.3257 0.6401 x1  1 S 1.51
O 0.1959 0.3566 0.5334 x1  1 S 1.46
O 0.2948 0.8548 0.0319 x1  1 S 1.47
O 0.2975 0.8222 0.1383 x1  1 S 1.48
O 0.3031 0.1797 0.0777 x1  1 S 1.52
O 0.3058 0.8466 0.7476 x1  1 S 1.51
O 0.3066 0.5123 0.6924 x1  1 Si 1.59
O 0.3112 0.8171 0.4246 x1  1 S 1.48
O 0.3140 0.4801 0.8099 x1  1 Si 1.71, 1 Nb 1.85
O 0.3151 0.4860 0.0941 x1  1 Si 1.62
O 0.3184 0.1582 0.4763 x1  1 Si 1.66
O 0.3236 0.1573 0.7610 x1  1 Si 1.60
O 0.3241 0.1845 0.3596 x1  1 Si 1.58
O 0.3244 0.5095 0.4175 x1  1 Si 1.63
O 0.3691 0.4113 0.3071 x1  1 S 1.48
O 0.3687 0.9128 0.5246 x1  1 Si 1.58
O 0.3725 0.5853 0.9130 x1  1 S 1.53
O 0.3779 0.2556 0.8662 x1  1 S 1.46
O 0.3799 0.2575 0.5807 x1  1 S 1.50
O 0.3813 0.7397 0.6385 x1  1 S 1.49
O 0.3814 0.7447 0.9225 x1  1 S 1.46
O 0.3842 0.5806 0.1975 x1  1 Si 1.64
O 0.3867 0.0789 0.9776 x1  1 Si 1.68
O 0.3881 0.0854 0.2600 x1  1 Si 1.56
O 0.3886 0.9138 0.2425 x1  1 Si 1.67
O 0.3927 0.4156 0.5949 x1  1 S 1.48
O 0.4094 0.2674 0.9738 x1  1 S 1.50
O 0.4158 0.4006 0.2000 x1  1 S 1.48
O 0.4183 0.3968 0.9141 x1  1 S 1.50
O 0.4203 0.5963 0.5902 x1  1 S 1.48
O 0.4206 0.7265 0.5306 x1  1 S 1.47
O 0.4215 0.2705 0.2577 x1  1 S 1.45
O 0.4248 0.7369 0.2444 x1  1 Si 1.70, 1 Nb 1.85
O 0.4255 0.9254 0.6426 x1  1 Si 1.65
O 0.4279 0.9172 0.9290 x1  1 Si 1.63, 1 Ga 1.81
O 0.4317 0.0689 0.5767 x1  1 Si 1.65
O 0.4329 0.0565 0.8628 x1  1 Si 1.61
O 0.4367 0.6017 0.3133 x1  1 Si 1.60
O 0.5466 0.7387 0.7481 x1  1 Si 1.66
O 0.5498 0.7403 0.0236 x1  1 Si 1.59
O 0.5582 0.5930 0.8097 x1  1 Si 1.70, 1 Nb 1.85
O 0.5625 0.9277 0.4238 x1  1 S 1.50
O 0.5638 0.4037 0.4130 x1  1 S 1.51
O 0.5666 0.5994 0.0943 x1  1 Si 1.62
O 0.5683 0.2712 0.4715 x1  1 S 1.51
O 0.5684 0.3909 0.7003 x1  1 S 1.47
O 0.5696 0.0594 0.3665 x1  1 S 1.45
O 0.5740 0.2642 0.7659 x1  1 S 1.45
O 0.5740 0.9390 0.1392 x1  1 S 1.47
O 0.5779 0.0661 0.0774 x1  1 S 1.52
O 0.5974 0.2458 0.0731 x1  1 Si 1.64
O 0.6002 0.7456 0.4254 x1  1 S 1.50
O 0.6031 0.4148 0.1021 x1  1 Si 1.61
O 0.6034 0.9219 0.7504 x1  1 S 1.55
O 0.6040 0.7585 0.1397 x1  1 Si 1.62
O 0.6086 0.4112 0.8073 x1  1 S 1.52
O 0.6101 0.0707 0.4737 x1  1 S 1.50
O 0.6100 0.2608 0.3646 x1  1 S 1.45
O 0.6181 0.0825 0.7620 x1  1 S 1.47
O 0.6185 0.5846 0.4170 x1  1 S 1.48
O 0.6200 0.5850 0.6934 x1  1 Si 1.60
O 0.6205 0.9237 0.0322 x1  1 S 1.48
O 0.6659 0.1643 0.2699 x1  1 Si 1.56
O 0.6701 0.4859 0.5937 x1  1 S 1.49
O 0.6710 0.1878 0.5716 x1  1 Si 1.62
O 0.6741 0.8121 0.6435 x1  1 Si 1.68, 1 Nb 1.85
O 0.6800 0.1602 0.9718 x1  1 S 1.52
O 0.6804 0.8471 0.2482 x1  1 S 1.55
O 0.6816 0.8493 0.5261 x1  1 Si 1.58
O 0.6834 0.8174 0.9232 x1  1 S 1.48
O 0.6840 0.4825 0.3095 x1  1 S 1.46
O 0.6850 0.5114 0.9129 x1  1 S 1.50
O 0.6861 0.5096 0.2018 x1  1 S 1.47
O 0.6894 0.1839 0.8649 x1  1 S 1.47
O 0.7983 0.6845 0.3646 x1  1 S 1.47
O 0.8013 0.0092 0.7025 x1  1 S 1.46
O 0.8031 0.3243 0.4245 x1  1 S 1.48
O 0.8026 0.9818 0.8101 x1  1 S 1.47
O 0.8035 0.0054 0.4128 x1  1 S 1.50
O 0.8052 0.3494 0.0254 x1  1 Si 1.59
O 0.8058 0.3491 0.7495 x1  1 S 1.52
O 0.8075 0.6606 0.4719 x1  1 S 1.52
O 0.8143 0.6631 0.7662 x1  1 Si 1.57
O 0.8136 0.6863 0.0713 x1  1 Si 1.66, 1 Nb 1.85
O 0.8148 0.3123 0.1430 x1  1 Si 1.66
O 0.8159 0.9855 0.0926 x1  1 S 1.48
O 0.8565 0.0868 0.1936 x1  1 Si 1.62, 1 Ga 1.80
O 0.8676 0.4231 0.5333 x1  1 S 1.45
O 0.8696 0.0838 0.9169 x1  1 S 1.48
O 0.8695 0.5826 0.2614 x1  1 S 1.46
O 0.8760 0.9093 0.3063 x1  1 S 1.47
O 0.8822 0.2572 0.6418 x1  1 Si 1.65
O 0.8824 0.5744 0.9729 x1  1 S 1.51
O 0.8829 0.4221 0.2501 x1  1 S 1.56
O 0.8838 0.9155 0.6026 x1  1 Si 1.61
O 0.8851 0.7564 0.8649 x1  1 S 1.46
O 0.8876 0.2452 0.9253 x1  1 S 1.50
O 0.8909 0.7460 0.5741 x1  1 Si 1.63
O 0.9083 0.5664 0.5782 x1  1 S 1.53
O 0.9114 0.4394 0.6402 x1  1 S 1.49
O 0.9128 0.7625 0.2636 x1  1 S 1.45
O 0.9181 0.8901 0.1992 x1  1 S 1.48
O 0.9192 0.1006 0.5954 x1  1 Si 1.64
O 0.9197 0.7682 0.9711 x1  1 S 1.52
O 0.9203 0.9006 0.9130 x1  1 S 1.48
O 0.9217 0.5640 0.8666 x1  1 S 1.46
O 0.9240 0.4310 0.9234 x1  1 S 1.49
O 0.9264 0.0934 0.3098 x1  1 Si 1.68, 1 Nb 1.87
O 0.9325 0.2384 0.2460 x1  1 Si 1.68
O 0.9388 0.2436 0.5267 x1  1 Si 1.57

Entry 3:
DFT (PBE-GGA) results for a geometry-optimized MgSn2O4 structure.

Energy of formation from the pure elements in kcal/mol of atoms: -48.2
Total energy after the MP2020 corrections in eV per atom: -6.29

Cell: 8.5564 3.1027 14.5877 Å, 90.00 90.00 90.00°
With the nearest neighbours (Å) after each atom.
Space group Pnma (No. 62)
Inequivalent atoms, fractional coordinates:
Mg 0.2044 0.2500 0.2204 x4  5 O 2.04-2.16
Sn 0.0305 0.7500 0.4015 x4  6 O 2.07-2.16
Sn 0.0772 0.7500 0.9049 x4  2 O 2.24
O 0.0730 0.7500 0.6706 x4  1 Mg 2.04, 2 Sn 2.07
O 0.0819 0.7500 0.1555 x4  2 Mg 2.10, 2 Sn 2.24
O 0.1266 0.2500 0.4830 x4  3 Sn 2.12-2.16
O 0.2353 0.7500 0.3215 x4  1 Sn 2.10, 2 Mg 2.16

- What is the energy of formation from the pure elements in the second record?
  -55.6 kcal/mol of atoms